# YP4NO12 GGA-PBE relaxed
# total energy: -7.1903 eV/atom
data_YP4NO12
_chemical_formula_sum 'Y8 P32 N8 O96'
_cell_length_a 10.5186
_cell_length_b 12.1122
_cell_length_c 17.5896
_cell_angle_alpha 90.00
_cell_angle_beta 90.00
_cell_angle_gamma 90.00
_symmetry_space_group_name_H-M 'C 2 2 21'
_symmetry_Int_Tables_number 20
_symmetry_space_group_name_Hall 'C 2c 2'
loop_
_atom_site_label
_atom_site_fract_x
_atom_site_fract_y
_atom_site_fract_z
Y1 0.2172 0.1873 0.3599
P1 0.0000 0.3741 0.7500
P2 0.0527 0.2760 0.0170
P3 0.1190 0.1572 0.1569
P4 0.1575 0.5000 0.0000
P5 0.2056 0.4837 0.3040
N1 0.0858 0.1309 0.6324
O1 0.0154 0.1136 0.3440
O2 0.0569 0.4084 0.0279
O3 0.0674 0.4577 0.6909
O4 0.0805 0.2382 0.4691
O5 0.0965 0.3106 0.7944
O6 0.1227 0.2438 0.9459
O7 0.1442 0.2391 0.0878
O8 0.1576 0.2143 0.2293
O9 0.1924 0.3732 0.3408
O10 0.2152 0.0596 0.1356
O11 0.2317 0.4582 0.9333
O12 0.2403 0.0025 0.7254